Here is BaMg14Ni after structural relaxation from the Materials Project database. Energies are from PBE-GGA.

```
data_BaMg14Ni
_chemical_formula_sum 'Ba2 Mg28 Ni2'
_symmetry_space_group_name_H-M 'A m m 2'
_symmetry_Int_Tables_number 38
_symmetry_space_group_name_Hall 'A 2 -2'
_cell_length_a 10.504
_cell_length_b 6.197
_cell_length_c 11.694
_cell_angle_alpha 90.00
_cell_angle_beta 90.00
_cell_angle_gamma 90.00
loop_
_atom_site_label
_atom_site_type_symbol
_atom_site_fract_x
_atom_site_fract_y
_atom_site_fract_z
Ba1 Ba 0.000 0.000 0.000
Mg1 Mg 0.000 0.238 0.254
Mg2 Mg 0.216 0.000 0.626
Mg3 Mg 0.258 0.243 0.388
Mg4 Mg 0.271 0.000 0.148
Mg5 Mg 0.500 0.000 0.483
Mg6 Mg 0.500 0.000 0.978
Mg7 Mg 0.500 0.245 0.730
Ni1 Ni 0.000 0.000 0.459
```

Output
Calculated total energy: -1.798 eV/atom
E above lowest polymorph: 0.000 eV per atom
DFT formation energy: 0.083 eV/atom

***

Here is Al2O3 after structural relaxation from the Materials Project database. Energies are from PBE-GGA.

```
data_Al2O3
_chemical_formula_sum 'Al64 O96'
_symmetry_space_group_name_H-M 'C 1 m 1'
_symmetry_Int_Tables_number 8
_symmetry_space_group_name_Hall 'C -2y'
_cell_length_a 9.744
_cell_length_b 5.677
_cell_length_c 27.541
_cell_angle_alpha 90.00
_cell_angle_beta 90.64
_cell_angle_gamma 90.00
loop_
_atom_site_label
_atom_site_type_symbol
_atom_site_fract_x
_atom_site_fract_y
_atom_site_fract_z
Al1 Al 0.000 0.000 0.000
Al2 Al 0.000 0.000 0.501
Al3 Al 0.009 0.000 0.623
Al4 Al 0.009 0.500 0.567
Al5 Al 0.010 0.500 0.063
Al6 Al 0.021 0.000 0.318
Al7 Al 0.021 0.000 0.816
Al8 Al 0.090 0.247 0.228
Al9 Al 0.094 0.255 0.726
Al10 Al 0.171 0.500 0.336
Al11 Al 0.171 0.500 0.835
Al12 Al 0.174 0.500 0.140
Al13 Al 0.179 0.500 0.459
Al14 Al 0.179 0.500 0.956
Al15 Al 0.255 0.255 0.567
Al16 Al 0.255 0.256 0.063
Al17 Al 0.327 0.000 0.975
Al18 Al 0.328 0.000 0.478
Al19 Al 0.339 0.000 0.164
Al20 Al 0.339 0.500 0.727
Al21 Al 0.340 0.000 0.671
Al22 Al 0.345 0.500 0.229
Al23 Al 0.348 0.000 0.297
Al24 Al 0.349 0.000 0.793
Al25 Al 0.425 0.250 0.398
Al26 Al 0.425 0.250 0.896
O1 O 0.000 0.500 0.439
O2 O 0.009 0.000 0.199
O3 O 0.009 0.000 0.690
O4 O 0.010 0.500 0.693
O5 O 0.016 0.500 0.190
O6 O 0.078 0.250 0.354
O7 O 0.079 0.249 0.852
O8 O 0.091 0.251 0.599
O9 O 0.099 0.276 0.100
O10 O 0.168 0.000 0.770
O11 O 0.171 0.000 0.272
O12 O 0.172 0.500 0.021
O13 O 0.172 0.500 0.526
O14 O 0.176 0.500 0.267
O15 O 0.177 0.500 0.767
O16 O 0.181 0.000 0.021
O17 O 0.181 0.000 0.523
O18 O 0.253 0.264 0.190
O19 O 0.257 0.253 0.693
O20 O 0.271 0.248 0.938
O21 O 0.271 0.249 0.440
O22 O 0.324 0.500 0.100
O23 O 0.339 0.000 0.100
O24 O 0.339 0.000 0.603
O25 O 0.340 0.500 0.599
O26 O 0.351 0.500 0.355
O27 O 0.351 0.500 0.854
O28 O 0.353 0.000 0.360
O29 O 0.353 0.000 0.856
O30 O 0.415 0.228 0.524
O31 O 0.415 0.230 0.022
O32 O 0.430 0.263 0.271
O33 O 0.433 0.271 0.768
O34 O 0.496 0.500 0.936
O35 O 0.497 0.500 0.437
O36 O 0.499 0.000 0.936
```

Output
E (MP2020): -7.84 eV per atom
Calculated total energy: -7.424 eV/atom
DFT formation energy: -3.369 eV/atom

***

Here is U2CN after structural relaxation from the Materials Project database. Energies are from PBE-GGA.

```
data_U2CN
_chemical_formula_sum 'U6 C3 N3'
_symmetry_space_group_name_H-M 'R -3 m'
_symmetry_Int_Tables_number 166
_symmetry_space_group_name_Hall '-R 3 2"'
_cell_length_a 3.5107
_cell_length_b 3.5107
_cell_length_c 16.6686
_cell_angle_alpha 90.00
_cell_angle_beta 90.00
_cell_angle_gamma 120.00
loop_
_atom_site_label
_atom_site_type_symbol
_atom_site_fract_x
_atom_site_fract_y
_atom_site_fract_z
U1 U 0.0000 0.0000 0.2487
C1 C 0.0000 0.0000 0.0000
N1 N 0.0000 0.0000 0.5000
```

Output
E (MP2020): -10.84 eV per atom
Calculated total energy: -10.754 eV/atom
DFT formation energy: -0.808 eV/atom

***

Here is KEuHf2O6 after structural relaxation from the Materials Project database. Energies are from PBE-GGA.

```
data_KEuHf2O6
_chemical_formula_sum 'K4 Eu4 Hf8 O24'
_symmetry_space_group_name_H-M 'F m -3 m'
_symmetry_Int_Tables_number 225
_symmetry_space_group_name_Hall '-F 4 2 3'
_cell_length_a 8.266
_cell_length_b 8.266
_cell_length_c 8.266
_cell_angle_alpha 90.00
_cell_angle_beta 90.00
_cell_angle_gamma 90.00
loop_
_atom_site_label
_atom_site_type_symbol
_atom_site_fract_x
_atom_site_fract_y
_atom_site_fract_z
K1 K 0.000 0.000 0.000
Eu1 Eu 0.000 0.000 0.500
Hf1 Hf 0.250 0.250 0.250
O1 O 0.000 0.250 0.250
```

Output
E (MP2020): -9.52 eV per atom
Calculated total energy: -9.104 eV/atom
DFT formation energy: -3.419 eV/atom

***

Here is B8O after structural relaxation from the Materials Project database. Energies are from PBE-GGA.

```
data_B8O
_chemical_formula_sum 'B24 O3'
_symmetry_space_group_name_H-M 'P 1 m 1'
_symmetry_Int_Tables_number 6
_symmetry_space_group_name_Hall 'P -2y'
_cell_length_a 5.138
_cell_length_b 5.313
_cell_length_c 7.370
_cell_angle_alpha 90.00
_cell_angle_beta 92.42
_cell_angle_gamma 90.00
loop_
_atom_site_label
_atom_site_type_symbol
_atom_site_fract_x
_atom_site_fract_y
_atom_site_fract_z
B1 B 0.000 0.000 0.000
B2 B 0.001 0.260 0.847
B3 B 0.267 0.000 0.582
B4 B 0.283 0.262 0.723
B5 B 0.306 0.165 0.955
B6 B 0.318 0.500 0.278
B7 B 0.475 0.000 0.786
B8 B 0.482 0.331 0.112
B9 B 0.512 0.235 0.340
B10 B 0.528 0.500 0.481
B11 B 0.771 0.500 0.079
B12 B 0.794 0.218 0.208
B13 B 0.804 0.000 0.785
B14 B 0.822 0.330 0.444
B15 B 0.975 0.166 0.616
B16 B 0.988 0.500 0.276
O1 O 0.389 0.000 0.402
O2 O 0.405 0.500 0.661
O3 O 0.886 0.500 0.901
```

Output
E (MP2020): -7.09 eV per atom
Calculated total energy: -7.014 eV/atom
E above lowest polymorph: 0.001 eV per atom
DFT formation energy: -0.604 eV/atom

***

Here is MgSi after structural relaxation from the Materials Project database. Energies are from PBE-GGA.

```
data_MgSi
_chemical_formula_sum 'Mg6 Si6'
_symmetry_space_group_name_H-M 'P -1'
_symmetry_Int_Tables_number 2
_symmetry_space_group_name_Hall '-P 1'
_cell_length_a 4.564
_cell_length_b 5.405
_cell_length_c 9.404
_cell_angle_alpha 83.46
_cell_angle_beta 81.93
_cell_angle_gamma 83.32
loop_
_atom_site_label
_atom_site_type_symbol
_atom_site_fract_x
_atom_site_fract_y
_atom_site_fract_z
Mg1 Mg 0.227 0.121 0.109
Mg2 Mg 0.238 0.412 0.777
Mg3 Mg 0.247 0.343 0.418
Si1 Si 0.228 0.937 0.662
Si2 Si 0.273 0.839 0.407
Si3 Si 0.303 0.630 0.062
```

Output
E (MP2020): -3.39 eV per atom
Calculated total energy: -3.423 eV/atom
DFT formation energy: 0.125 eV/atom